Record 1
Al2NiO4 | Materials Project | PBE+U | optimized geometry; total moment = 2.0 μB per formula unit; calculated formation energy = -2.799 eV/atom; E above lowest polymorph = 3.9 meV per atom
1.0
4.974 -2.888 0.000
4.974 2.888 0.000
-3.474 0.000 23.288
Al Ni O
20 10 40
Direct
0.000 0.000 0.000 Al
0.071 0.571 0.727 Al
0.139 0.139 0.451 Al
0.169 0.674 0.527 Al
0.203 0.203 0.602 Al
0.270 0.765 0.326 Al
0.340 0.340 0.053 Al
0.370 0.870 0.127 Al
0.399 0.399 0.199 Al
0.469 0.469 0.424 Al
0.470 0.970 0.927 Al
0.541 0.541 0.653 Al
0.571 0.071 0.727 Al
0.600 0.600 0.800 Al
0.674 0.169 0.527 Al
0.739 0.739 0.253 Al
0.765 0.270 0.326 Al
0.870 0.370 0.127 Al
0.941 0.941 0.854 Al
0.970 0.470 0.927 Al
0.070 0.070 0.227 Ni
0.070 0.070 0.727 Ni
0.269 0.269 0.326 Ni
0.270 0.270 0.827 Ni
0.470 0.470 0.927 Ni
0.670 0.670 0.027 Ni
0.673 0.673 0.527 Ni
0.796 0.796 0.401 Ni
0.870 0.870 0.126 Ni
0.871 0.871 0.627 Ni
0.012 0.508 0.080 O
0.022 0.022 0.574 O
0.029 0.029 0.079 O
0.036 0.526 0.574 O
0.109 0.613 0.880 O
0.110 0.110 0.373 O
0.124 0.124 0.880 O
0.157 0.616 0.376 O
0.213 0.709 0.680 O
0.215 0.215 0.172 O
0.230 0.230 0.680 O
0.231 0.728 0.173 O
0.311 0.311 0.974 O
0.319 0.799 0.476 O
0.328 0.832 0.973 O
0.329 0.329 0.477 O
0.413 0.906 0.280 O
0.417 0.417 0.773 O
0.426 0.426 0.277 O
0.432 0.927 0.773 O
0.508 0.012 0.080 O
0.512 0.512 0.574 O
0.524 0.524 0.080 O
0.526 0.036 0.574 O
0.598 0.598 0.373 O
0.613 0.109 0.880 O
0.616 0.157 0.376 O
0.629 0.629 0.879 O
0.709 0.213 0.680 O
0.711 0.711 0.174 O
0.724 0.724 0.680 O
0.728 0.231 0.173 O
0.799 0.319 0.476 O
0.817 0.817 0.973 O
0.832 0.328 0.973 O
0.837 0.837 0.486 O
0.906 0.413 0.280 O
0.912 0.912 0.774 O
0.921 0.921 0.281 O
0.927 0.432 0.773 O



Record 2
MnVH4O2F5 | Materials Project | PBE+U | optimized geometry; total moment = 5.0 μB per formula unit; calculated formation energy = -2.264 eV/atom
1.0
-3.891 5.562 3.318
3.891 -5.562 3.318
3.891 5.562 -3.318
Mn V H O F
2 2 8 4 10
Direct
0.000 0.000 0.000 Mn
0.500 0.000 0.500 Mn
0.500 0.000 0.000 V
0.500 0.500 0.500 V
0.024 0.515 0.307 H
0.024 0.717 0.509 H
0.292 0.283 0.807 H
0.292 0.485 0.009 H
0.708 0.515 0.991 H
0.708 0.717 0.193 H
0.976 0.283 0.491 H
0.976 0.485 0.693 H
0.126 0.697 0.429 O
0.232 0.303 0.929 O
0.768 0.697 0.071 O
0.874 0.303 0.571 O
0.172 0.260 0.337 F
0.172 0.835 0.912 F
0.423 0.260 0.588 F
0.423 0.835 0.163 F
0.429 0.679 0.750 F
0.571 0.321 0.250 F
0.577 0.165 0.837 F
0.577 0.740 0.412 F
0.828 0.165 0.088 F
0.828 0.740 0.663 F



Record 3
Li3CrNi2O6 | Materials Project | PBE+U | optimized geometry; total moment = 5.0 μB per formula unit; calculated formation energy = -1.798 eV/atom
1.0
6.435 -1.447 0.000
6.435 1.447 0.000
-1.295 0.000 5.661
Li Cr Ni O
3 1 2 6
Direct
0.000 0.000 0.000 Li
0.331 0.331 0.674 Li
0.669 0.669 0.326 Li
0.000 0.000 0.500 Cr
0.334 0.334 0.163 Ni
0.666 0.666 0.837 Ni
0.158 0.158 0.596 O
0.169 0.169 0.067 O
0.498 0.498 0.732 O
0.502 0.502 0.268 O
0.831 0.831 0.933 O
0.842 0.842 0.404 O



Record 4
H7WC7NO5 | Materials Project | PBE+U | optimized geometry; total moment = 0.0 μB per formula unit; calculated formation energy = -0.491 eV/atom
1.0
9.161 0.000 0.000
0.000 10.304 0.000
-3.292 0.000 11.692
H W C N O
28 4 28 4 20
Direct
0.009 0.085 0.289 H
0.009 0.415 0.789 H
0.041 0.536 0.898 H
0.041 0.964 0.398 H
0.111 0.644 0.700 H
0.111 0.856 0.200 H
0.134 0.119 0.427 H
0.134 0.381 0.927 H
0.161 0.702 0.846 H
0.161 0.798 0.346 H
0.304 0.683 0.771 H
0.304 0.817 0.271 H
0.316 0.511 0.897 H
0.316 0.989 0.397 H
0.684 0.011 0.603 H
0.684 0.489 0.103 H
0.696 0.183 0.729 H
0.696 0.317 0.229 H
0.839 0.202 0.654 H
0.839 0.298 0.154 H
0.866 0.619 0.073 H
0.866 0.881 0.573 H
0.889 0.144 0.800 H
0.889 0.356 0.300 H
0.959 0.036 0.602 H
0.959 0.464 0.102 H
0.991 0.585 0.211 H
0.991 0.915 0.711 H
0.318 0.136 0.204 W
0.318 0.364 0.704 W
0.682 0.636 0.296 W
0.682 0.864 0.796 W
0.095 0.044 0.362 C
0.095 0.456 0.862 C
0.106 0.153 0.091 C
0.106 0.347 0.591 C
0.198 0.642 0.783 C
0.198 0.858 0.283 C
0.275 0.204 0.793 C
0.275 0.296 0.293 C
0.357 0.516 0.603 C
0.357 0.984 0.103 C
0.396 0.240 0.605 C
0.396 0.260 0.105 C
0.464 0.617 0.188 C
0.464 0.883 0.688 C
0.536 0.117 0.312 C
0.536 0.383 0.812 C
0.604 0.740 0.895 C
0.604 0.760 0.395 C
0.643 0.016 0.897 C
0.643 0.484 0.397 C
0.725 0.704 0.707 C
0.725 0.796 0.207 C
0.802 0.142 0.717 C
0.802 0.358 0.217 C
0.894 0.653 0.409 C
0.894 0.847 0.909 C
0.905 0.544 0.138 C
0.905 0.956 0.638 C
0.227 0.506 0.825 N
0.227 0.994 0.325 N
0.773 0.006 0.675 N
0.773 0.494 0.175 N
0.011 0.667 0.478 O
0.011 0.833 0.978 O
0.250 0.108 0.836 O
0.250 0.392 0.336 O
0.339 0.607 0.131 O
0.339 0.893 0.631 O
0.378 0.596 0.541 O
0.378 0.904 0.041 O
0.439 0.165 0.548 O
0.439 0.335 0.048 O
0.561 0.665 0.952 O
0.561 0.835 0.452 O
0.622 0.096 0.959 O
0.622 0.404 0.459 O
0.661 0.107 0.369 O
0.661 0.393 0.869 O
0.750 0.608 0.664 O
0.750 0.892 0.164 O
0.989 0.167 0.022 O
0.989 0.333 0.522 O



Record 5
Na2Fe4O7 | Materials Project | PBE+U | optimized geometry; total moment = 20.0 μB per formula unit; calculated formation energy = -1.637 eV/atom
1.0
5.245 0.000 0.000
-2.622 4.542 0.000
0.000 0.000 6.722
Na Fe O
2 4 7
Direct
0.333 0.667 0.000 Na
0.667 0.333 0.000 Na
0.000 0.000 0.273 Fe
0.000 0.000 0.727 Fe
0.333 0.667 0.500 Fe
0.667 0.333 0.500 Fe
0.000 0.000 0.000 O
0.000 0.360 0.674 O
0.000 0.640 0.326 O
0.360 0.000 0.674 O
0.360 0.360 0.326 O
0.640 0.000 0.326 O
0.640 0.640 0.674 O



Record 6
K2LiFeF6 | Materials Project | PBE+U | optimized geometry; total moment = 5.0 μB per formula unit; calculated formation energy = -2.979 eV/atom
1.0
0.000 4.080 4.080
4.080 0.000 4.080
4.080 4.080 0.000
K Li Fe F
2 1 1 6
Direct
0.250 0.250 0.250 K
0.750 0.750 0.750 K
0.000 0.000 0.000 Li
0.500 0.500 0.500 Fe
0.258 0.258 0.742 F
0.258 0.742 0.258 F
0.258 0.742 0.742 F
0.742 0.258 0.258 F
0.742 0.258 0.742 F
0.742 0.742 0.258 F



Record 7
Li5Fe8B8O24 | Materials Project | PBE+U | optimized geometry; total moment = 35.0 μB per formula unit; calculated formation energy = -2.280 eV/atom; E above lowest polymorph = 11.2 meV per atom
1.0
5.288 0.000 0.000
0.024 9.034 0.000
2.388 4.479 10.153
Li Fe B O
5 8 8 24
Direct
0.000 0.000 0.000 Li
0.058 0.367 0.251 Li
0.252 0.250 0.495 Li
0.316 0.638 0.744 Li
0.505 0.501 0.997 Li
0.046 0.025 0.267 Fe
0.234 0.567 0.528 Fe
0.290 0.955 0.778 Fe
0.498 0.144 0.026 Fe
0.555 0.540 0.270 Fe
0.738 0.059 0.530 Fe
0.801 0.437 0.779 Fe
0.988 0.657 0.022 Fe
0.046 0.689 0.275 B
0.238 0.908 0.524 B
0.290 0.284 0.780 B
0.497 0.815 0.025 B
0.526 0.193 0.280 B
0.745 0.396 0.526 B
0.787 0.770 0.777 B
0.990 0.314 0.037 B
0.021 0.953 0.468 O
0.025 0.760 0.814 O
0.084 0.158 0.072 O
0.127 0.434 0.048 O
0.152 0.154 0.785 O
0.202 0.441 0.727 O
0.252 0.646 0.337 O
0.262 0.836 0.985 O
0.321 0.760 0.552 O
0.358 0.025 0.553 O
0.398 0.317 0.296 O
0.416 0.087 0.238 O
0.503 0.423 0.495 O
0.508 0.270 0.830 O
0.586 0.659 0.066 O
0.638 0.633 0.799 O
0.641 0.941 0.024 O
0.692 0.921 0.718 O
0.759 0.336 0.996 O
0.772 0.163 0.313 O
0.863 0.499 0.565 O
0.871 0.265 0.514 O
0.945 0.581 0.233 O
0.947 0.835 0.256 O



Record 8
Ca5Cr3O12 | Materials Project | PBE+U | optimized geometry; total moment = 4.0 μB per formula unit; calculated formation energy = -2.707 eV/atom
1.0
6.801 0.000 0.000
0.000 16.221 0.000
0.000 0.000 10.417
Ca Cr O
20 12 48
Direct
0.039 0.250 0.177 Ca
0.125 0.593 0.567 Ca
0.125 0.907 0.567 Ca
0.181 0.606 0.166 Ca
0.181 0.894 0.166 Ca
0.319 0.106 0.666 Ca
0.319 0.394 0.666 Ca
0.375 0.093 0.067 Ca
0.375 0.407 0.067 Ca
0.461 0.750 0.677 Ca
0.539 0.250 0.323 Ca
0.625 0.593 0.933 Ca
0.625 0.907 0.933 Ca
0.681 0.606 0.334 Ca
0.681 0.894 0.334 Ca
0.819 0.106 0.834 Ca
0.819 0.394 0.834 Ca
0.875 0.093 0.433 Ca
0.875 0.407 0.433 Ca
0.961 0.750 0.823 Ca
0.025 0.250 0.578 Cr
0.139 0.572 0.870 Cr
0.139 0.928 0.870 Cr
0.361 0.072 0.370 Cr
0.361 0.428 0.370 Cr
0.475 0.750 0.078 Cr
0.525 0.250 0.922 Cr
0.639 0.572 0.630 Cr
0.639 0.928 0.630 Cr
0.861 0.072 0.130 Cr
0.861 0.428 0.130 Cr
0.975 0.750 0.422 Cr
0.041 0.120 0.035 O
0.041 0.380 0.035 O
0.044 0.657 0.355 O
0.044 0.843 0.355 O
0.073 0.010 0.768 O
0.073 0.490 0.768 O
0.079 0.750 0.573 O
0.187 0.039 0.486 O
0.187 0.461 0.486 O
0.224 0.750 0.087 O
0.227 0.652 0.772 O
0.227 0.848 0.772 O
0.273 0.152 0.272 O
0.273 0.348 0.272 O
0.276 0.250 0.587 O
0.313 0.539 0.986 O
0.313 0.961 0.986 O
0.421 0.250 0.073 O
0.427 0.510 0.268 O
0.427 0.990 0.268 O
0.456 0.157 0.855 O
0.456 0.343 0.855 O
0.459 0.620 0.535 O
0.459 0.880 0.535 O
0.541 0.120 0.465 O
0.541 0.380 0.465 O
0.544 0.657 0.145 O
0.544 0.843 0.145 O
0.573 0.010 0.732 O
0.573 0.490 0.732 O
0.579 0.750 0.927 O
0.687 0.039 0.014 O
0.687 0.461 0.014 O
0.724 0.750 0.413 O
0.727 0.652 0.728 O
0.727 0.848 0.728 O
0.773 0.152 0.228 O
0.773 0.348 0.228 O
0.776 0.250 0.913 O
0.813 0.539 0.514 O
0.813 0.961 0.514 O
0.921 0.250 0.427 O
0.927 0.510 0.232 O
0.927 0.990 0.232 O
0.956 0.157 0.645 O
0.956 0.343 0.645 O
0.959 0.620 0.965 O
0.959 0.880 0.965 O



Record 9
Mn7CdO12 | Materials Project | PBE+U | optimized geometry; total moment = 27.0 μB per formula unit; calculated formation energy = -1.889 eV/atom
1.0
-3.754 3.754 3.754
3.754 -3.754 3.754
3.754 3.754 -3.754
Mn Cd O
7 1 12
Direct
0.000 0.000 0.500 Mn
0.000 0.500 0.000 Mn
0.000 0.500 0.500 Mn
0.500 0.000 0.000 Mn
0.500 0.000 0.500 Mn
0.500 0.500 0.000 Mn
0.500 0.500 0.500 Mn
0.000 0.000 0.000 Cd
0.130 0.309 0.821 O
0.179 0.489 0.309 O
0.179 0.870 0.691 O
0.309 0.179 0.489 O
0.309 0.821 0.130 O
0.489 0.309 0.179 O
0.511 0.691 0.821 O
0.691 0.179 0.870 O
0.691 0.821 0.511 O
0.821 0.130 0.309 O
0.821 0.511 0.691 O
0.870 0.691 0.179 O